Computed, not measured: a relaxed LaMg2TaO6 crystal at the PBE level of DFT.

Computed properties:
ρ: 5.6 Mg/m³
raw total energy: -7.755 eV per atom

Lattice parameters (Å, degrees): 7.335 6.841 7.601 90.00 58.79 117.79
Element x y z (fractional)
La1 0.000 0.000 0.500
La2 0.000 0.000 0.000
Mg1 0.500 0.500 0.000
Mg2 0.500 0.000 0.000
Mg3 0.500 0.000 0.500
Mg4 0.500 0.500 0.500
Ta1 0.000 0.500 0.000
Ta2 0.000 0.500 0.500
O1 0.712 0.856 0.394
O2 0.150 0.575 0.675
O3 0.242 0.833 0.943
O4 0.242 0.408 0.315
O5 0.242 0.408 0.943
O6 0.242 0.833 0.315
O7 0.288 0.144 0.606
O8 0.850 0.425 0.325
O9 0.758 0.167 0.057
O10 0.758 0.592 0.685
O11 0.758 0.592 0.057
O12 0.758 0.167 0.685